44
Lattice="5.2289 0.0000 0.0000 0.0000 9.1825 0.0000 -4.4425 0.0000 9.6667" Properties=species:S:1:pos:R:3 comment="Li3Mn2FeB4O12 PBE+U optimized geometry" crystal_system=monoclinic energy_corrected_mp2020_ev_per_cell=-343.13 formation_enthalpy_0k_mev_per_atom=-2407 pbc="T T T"
Li 0.0000 2.0842 0.0000
Li -2.2212 7.0982 4.8333
Li -2.9765 2.4607 6.5647
Li -0.7553 6.7218 1.7314
Li 0.1652 2.1924 4.4789
Li -2.0560 6.9900 9.3122
Mn -1.7635 4.0591 9.3350
Mn 0.4577 5.1234 4.5017
Mn -0.4329 0.6879 6.9762
Mn 1.7884 8.4946 2.1429
Fe 1.9782 2.4154 2.2718
Fe -0.2431 6.7671 7.1051
B -0.6734 0.6273 2.2735
B -2.8946 8.5551 7.1068
B -1.8146 0.8589 9.5303
B 0.4066 8.3236 4.6970
B -0.3780 3.6903 6.8967
B 1.8432 5.4922 2.0633
B 2.9175 4.0577 4.3851
B 0.6963 5.1248 9.2184
O -2.4268 0.6359 6.8835
O -0.2055 8.5466 2.0502
O -0.9672 3.8199 4.3335
O -3.1884 5.3626 9.1668
O 0.1850 1.7179 2.3462
O -2.0363 7.4646 7.1796
O -1.6466 3.6722 7.4508
O 0.5746 5.5102 2.6174
O 1.9830 2.0583 0.2094
O -0.2383 7.1242 5.0428
O -0.1363 0.3519 5.0889
O 2.0850 8.8306 0.2556
O 2.4054 4.2480 1.6513
O 0.1841 4.9345 6.4847
O 0.3429 2.5594 6.6534
O 2.5642 6.6230 1.8200
O -0.5959 0.9198 8.8688
O 1.6253 8.2626 4.0354
O 2.0222 2.9996 4.1596
O -0.1990 6.1829 8.9930
O 3.1828 0.8503 2.4053
O 0.9615 8.3321 7.2386
O 0.1794 3.8817 9.4918
O 2.4007 5.3008 4.6584

=====

48
Lattice="5.2569 0.0000 0.0000 0.0192 9.1168 0.0000 2.4707 4.2325 10.5156" Properties=species:S:1:pos:R:3 comment="Li8Mn7FeB8O24 PBE+U optimized geometry" crystal_system=triclinic energy_corrected_mp2020_ev_per_cell=-379.33 formation_enthalpy_0k_mev_per_atom=-2485 pbc="T T T"
Li 0.0000 0.0000 0.0000
Li 0.7451 1.4243 2.6302
Li 2.6402 4.3502 5.2622
Li 3.5184 5.6947 7.8863
Li 5.1065 8.7952 10.5150
Li 3.3828 5.9876 2.6285
Li 5.2809 8.9088 5.2549
Li 6.1517 10.2635 7.8825
Mn 2.5125 7.2319 10.1521
Mn 0.8295 7.4728 2.2479
Mn 2.6036 10.4372 4.8922
Mn 3.4642 8.7699 7.5179
Mn 3.4368 2.9113 2.2656
Mn 5.2239 5.8783 4.8953
Mn 6.0804 4.2041 7.5444
Fe 5.1857 11.7754 10.1497
B 2.5500 10.2781 10.0709
B 0.8361 4.4600 2.1840
B 2.5719 7.4014 4.8148
B 3.4788 11.8440 7.4532
B 5.1469 5.6848 10.0794
B 3.4773 9.0141 2.1733
B 5.1913 2.8441 4.8145
B 6.1006 7.2861 7.4478
O 1.2144 7.5607 4.4940
O 2.1649 7.1365 7.8757
O 3.1540 11.4604 10.4886
O 3.3303 9.1563 9.7569
O 2.7146 10.7107 7.1312
O 2.8956 3.9834 7.2963
O 3.7767 5.5891 9.9205
O 2.2064 4.5954 2.0313
O 2.6882 10.0823 2.6118
O 3.1633 6.1602 4.6595
O 3.3180 8.4953 5.2577
O 2.8760 7.7899 1.8478
O 3.8321 3.0015 4.4936
O 4.7964 11.6928 7.8864
O 5.7333 6.8785 10.5066
O 5.9446 4.5713 9.7728
O 5.3394 6.1510 7.1324
O 5.5379 8.5443 7.3011
O 6.4226 10.1917 9.9397
O 4.8473 9.1534 2.0306
O 5.3075 5.5326 2.6108
O 5.8004 10.7177 4.6616
O 5.9361 3.9366 5.2563
O 5.4902 3.2319 1.8702

=====

36
Lattice="8.2358 0.0000 0.0000 0.0000 6.2806 0.0000 -4.1117 0.0000 7.1441" Properties=species:S:1:pos:R:3 comment="Li6MnFe5B6O18 PBE+U optimized geometry" crystal_system=monoclinic energy_corrected_mp2020_ev_per_cell=-276.95 formation_enthalpy_0k_mev_per_atom=-2357 pbc="T T T"
Li 0.0000 1.5664 0.0000
Li 0.0000 4.7142 0.0000
Li -0.3879 1.5746 5.2175
Li -0.3879 4.7059 5.2175
Li 4.3260 1.5733 2.9437
Li 4.3260 4.7073 2.9437
Mn 2.4089 0.0000 5.0099
Fe -1.2645 0.0000 2.5370
Fe -1.2583 3.1403 2.5274
Fe 2.7552 0.0000 0.5799
Fe 2.7569 3.1403 0.5886
Fe 2.4373 3.1403 5.0501
B -2.8068 3.1403 5.1011
B -2.7958 0.0000 5.1141
B 1.3066 1.5799 2.7083
B 1.3066 4.7007 2.7083
B 5.4203 1.5811 0.3472
B 5.4203 4.6994 0.3472
O -1.5554 3.1403 5.7074
O -1.5312 0.0000 5.6988
O 0.0397 1.5726 3.2826
O 0.0397 4.7080 3.2826
O 1.4523 1.5703 1.3261
O 1.4523 4.7102 1.3261
O 2.4402 1.5910 3.5234
O 2.4402 4.6896 3.5234
O 4.1757 1.5706 0.9594
O 4.1757 4.7099 0.9594
O 1.3985 1.5947 6.1075
O 1.3985 4.6859 6.1075
O 6.5756 1.5696 1.1185
O 6.5756 4.7110 1.1185
O 5.3281 3.1403 3.7136
O 5.3216 0.0000 3.7255
O 4.2810 3.1403 5.8821
O 4.3067 0.0000 5.9142